Record 1
Entry from the Materials Project: a geometry-optimized AgRhF6 structure (meta-GGA r2SCAN).

a b c (Å): 4.9997 5.0063 10.0821
angles (deg): 75.93 75.87 60.12
Fractional coordinates of all 16 atoms:
Ag  0.0000  0.0000  0.0000
Ag  0.5000  0.5000  0.5000
Rh  0.2468  0.2547  0.2500
Rh  0.7532  0.7453  0.7500
F  0.0353  0.4074  0.8639
F  0.0918  0.8024  0.6360
F  0.1902  0.5367  0.3652
F  0.3033  0.9729  0.1349
F  0.4153  0.6889  0.8644
F  0.4731  0.0821  0.6355
F  0.5269  0.9179  0.3645
F  0.5847  0.3111  0.1356
F  0.6967  0.0271  0.8651
F  0.8098  0.4633  0.6348
F  0.9082  0.1976  0.3640
F  0.9647  0.5926  0.1361

Summary:
Space group: P-1 (2)
Total magnetic moment in Bohr magnetons per cell: 3.99
Electronic total energy in Ha/atom: -0.3522
Energy of formation from the pure elements in kJ/mol of formula units: -1200

Record 2
Entry from the Materials Project: a geometry-optimized AgRuF7 structure (meta-GGA r2SCAN).

a b c (Å): 8.3739 5.4635 12.0534
angles (deg): 90.00 113.09 90.00
Fractional coordinates of all 36 atoms:
Ag  0.1546  0.2070  0.2230
Ag  0.1546  0.2930  0.7230
Ag  0.8454  0.7070  0.2770
Ag  0.8454  0.7930  0.7770
Ru  0.2865  0.7081  0.0582
Ru  0.2865  0.7919  0.5582
Ru  0.7135  0.2081  0.4418
Ru  0.7135  0.2919  0.9418
F  0.0210  0.5897  0.7383
F  0.0210  0.9103  0.2383
F  0.0458  0.7446  0.4951
F  0.0458  0.7554  0.9951
F  0.2553  0.0856  0.4769
F  0.2553  0.4144  0.9769
F  0.2711  0.5415  0.1945
F  0.2711  0.9585  0.6945
F  0.3049  0.6213  0.4323
F  0.3049  0.8787  0.9323
F  0.3131  0.0069  0.1473
F  0.3131  0.4931  0.6473
F  0.4739  0.1652  0.3723
F  0.4739  0.3348  0.8723
F  0.5261  0.6652  0.1277
F  0.5261  0.8348  0.6277
F  0.6869  0.5069  0.3527
F  0.6869  0.9931  0.8527
F  0.6951  0.1213  0.0677
F  0.6951  0.3787  0.5677
F  0.7289  0.0415  0.3055
F  0.7289  0.4585  0.8055
F  0.7447  0.5856  0.0231
F  0.7447  0.9144  0.5231
F  0.9542  0.2446  0.0049
F  0.9542  0.2554  0.5049
F  0.9790  0.0897  0.7617
F  0.9790  0.4103  0.2617

Summary:
Space group: P2_1/c (14)
Total magnetic moment in Bohr magnetons per cell: 12.67
Electronic total energy in Ha/atom: -0.3434
Energy of formation from the pure elements in kJ/mol of formula units: -1490

Record 3
Entry from the Materials Project: a geometry-optimized UAgF6 structure (meta-GGA r2SCAN).

a b c (Å): 5.2744 5.2744 9.0780
angles (deg): 90.00 90.00 90.07
Fractional coordinates of all 16 atoms:
U  0.0000  0.0000  0.0000
U  0.0000  0.0000  0.5000
Ag  0.5000  0.5000  0.2496
Ag  0.5000  0.5000  0.7504
F  0.2046  0.2046  0.3433
F  0.2046  0.2046  0.6567
F  0.2047  0.7953  0.1564
F  0.2047  0.7953  0.8436
F  0.2792  0.7208  0.5000
F  0.2796  0.2796  0.0000
F  0.7204  0.7204  0.0000
F  0.7208  0.2792  0.5000
F  0.7953  0.2047  0.1564
F  0.7953  0.2047  0.8436
F  0.7954  0.7954  0.3433
F  0.7954  0.7954  0.6567

Summary:
Space group: Cmmm (65)
Total magnetic moment in Bohr magnetons per cell: 2.00
Electronic total energy in Ha/atom: -0.6681
Energy of formation from the pure elements in kJ/mol of formula units: -2449

Record 4
Entry from the Materials Project: a geometry-optimized ZnAgF3 structure (meta-GGA r2SCAN).

a b c (Å): 6.2675 6.2675 6.2675
angles (deg): 51.10 51.10 51.10
Fractional coordinates of all 10 atoms:
Zn  0.1594  0.1594  0.1594
Zn  0.8406  0.8406  0.8406
Ag  0.3569  0.3569  0.3569
Ag  0.6431  0.6431  0.6431
F  0.0420  0.8079  0.4403
F  0.1921  0.5597  0.9580
F  0.4403  0.0420  0.8079
F  0.5597  0.9580  0.1921
F  0.8079  0.4403  0.0420
F  0.9580  0.1921  0.5597

Summary:
Space group: R-3 (148)
Total magnetic moment in Bohr magnetons per cell: 0.00
Electronic total energy in Ha/atom: -0.3640
Energy of formation from the pure elements in kJ/mol of formula units: -953

Record 5
Entry from the Materials Project: a geometry-optimized Zr2Ag3F14 structure (meta-GGA r2SCAN).

a b c (Å): 5.7682 5.7682 9.1050
angles (deg): 91.16 91.16 71.44
Fractional coordinates of all 19 atoms:
Zr  0.0908  0.0908  0.2179
Zr  0.9092  0.9092  0.7821
Ag  0.3132  0.3132  0.6024
Ag  0.5000  0.5000  0.0000
Ag  0.6868  0.6868  0.3976
F  0.0000  0.0000  0.0000
F  0.0071  0.6501  0.6101
F  0.1127  0.1127  0.7055
F  0.2362  0.6407  0.8360
F  0.2748  0.2748  0.1215
F  0.3499  0.9929  0.3899
F  0.3593  0.7638  0.1640
F  0.5000  0.5000  0.5000
F  0.6407  0.2362  0.8360
F  0.6501  0.0071  0.6101
F  0.7252  0.7252  0.8785
F  0.7638  0.3593  0.1640
F  0.8873  0.8873  0.2945
F  0.9929  0.3499  0.3899

Summary:
Space group: C2/m (12)
Total magnetic moment in Bohr magnetons per cell: 1.03
Electronic total energy in Ha/atom: -0.3961
Energy of formation from the pure elements in kJ/mol of formula units: -4964

Record 6
Entry from the Materials Project: a geometry-optimized GaAg2 structure (meta-GGA r2SCAN).

a b c (Å): 7.7332 7.7332 2.9121
angles (deg): 90.00 90.00 120.00
Fractional coordinates of all 9 atoms:
Ga  0.0000  0.0000  0.0000
Ga  0.3333  0.6667  0.5000
Ga  0.6667  0.3333  0.5000
Ag  0.0000  0.3050  0.5000
Ag  0.0000  0.6381  0.0000
Ag  0.3050  0.0000  0.5000
Ag  0.3619  0.3619  0.0000
Ag  0.6381  0.0000  0.0000
Ag  0.6950  0.6950  0.5000

Summary:
Space group: P-62m (189)
Total magnetic moment in Bohr magnetons per cell: 0.00
Electronic total energy in Ha/atom: -0.6641
Energy of formation from the pure elements in kJ/mol of formula units: -6

Record 7
Entry from the Materials Project: a geometry-optimized GaAg3 structure (meta-GGA r2SCAN).

a b c (Å): 4.0813 4.0813 4.0813
angles (deg): 90.00 90.00 90.00
Fractional coordinates of all 4 atoms:
Ga  0.0000  0.0000  0.0000
Ag  0.0000  0.5000  0.5000
Ag  0.5000  0.0000  0.5000
Ag  0.5000  0.5000  0.0000

Summary:
Space group: Pm-3m (221)
Total magnetic moment in Bohr magnetons per cell: 0.00
Electronic total energy in Ha/atom: -0.6927
Energy of formation from the pure elements in kJ/mol of formula units: 11

Record 8
Entry from the Materials Project: a geometry-optimized GaAg3 structure (meta-GGA r2SCAN).

a b c (Å): 2.9379 2.9379 9.1161
angles (deg): 90.00 90.00 120.00
Fractional coordinates of all 4 atoms:
Ga  0.0000  0.0000  0.0000
Ag  0.0000  0.0000  0.5000
Ag  0.6667  0.3333  0.2419
Ag  0.6667  0.3333  0.7581

Summary:
Space group: P-6m2 (187)
Total magnetic moment in Bohr magnetons per cell: 0.00
Electronic total energy in Ha/atom: -0.6938
Energy of formation from the pure elements in kJ/mol of formula units: -1

- Which of these has the highest energy of formation from the pure elements?
  number 7

- Which formula does entry 3 have?
  UAgF6